A relaxed structure of TbFeB4, computed with r2SCAN.

Cell: 3.429 5.904 11.434 Å, 90.00 90.00 90.00°
Sites, in units of the cell vectors:
1 B 0.000 0.023 0.190
2 B 0.000 0.639 0.033
3 B 0.000 0.612 0.454
4 B 0.000 0.112 0.046
5 Fe 0.500 0.872 0.084
6 Fe 0.500 0.372 0.416
7 Fe 0.500 0.628 0.584
8 B 0.000 0.280 0.817
9 Fe 0.500 0.128 0.916
10 Tb 0.500 0.127 0.650
11 B 0.000 0.720 0.183
12 B 0.000 0.523 0.310
13 B 0.000 0.139 0.467
14 B 0.000 0.388 0.546
15 B 0.000 0.361 0.967
16 Tb 0.500 0.373 0.150
17 B 0.000 0.861 0.533
18 B 0.000 0.477 0.690
19 B 0.000 0.220 0.317
20 B 0.000 0.888 0.954
21 Tb 0.500 0.873 0.350
22 B 0.000 0.780 0.683
23 B 0.000 0.977 0.810
24 Tb 0.500 0.627 0.850

Values from the calculation:
Spin magnetization in Bohr magnetons per cell: 5.9
Energy of formation in meV per atom: -584
V in Å³ per atom: 9.64
Symmetry: Pbam, No. 55


A relaxed structure of Tb3FeB7, computed with r2SCAN.

Cell: 8.072 8.072 9.337 Å, 90.00 90.00 155.52°
Sites, in units of the cell vectors:
1 B 0.273 0.727 0.532
2 B 0.478 0.522 0.600
3 Tb 0.243 0.757 0.250
4 B 0.478 0.522 0.900
5 B 0.727 0.273 0.032
6 B 0.522 0.478 0.400
7 B 0.539 0.461 0.750
8 Tb 0.104 0.896 0.940
9 B 0.370 0.630 0.654
10 Tb 0.896 0.104 0.440
11 B 0.273 0.727 0.968
12 Tb 0.757 0.243 0.750
13 B 0.461 0.539 0.250
14 B 0.630 0.370 0.346
15 Fe 0.945 0.055 0.750
16 Fe 0.055 0.945 0.250
17 Tb 0.104 0.896 0.560
18 Tb 0.896 0.104 0.060
19 B 0.370 0.630 0.846
20 B 0.522 0.478 0.100
21 B 0.630 0.370 0.154
22 B 0.727 0.273 0.468

Values from the calculation:
Spin magnetization in Bohr magnetons per cell: 1.2
Energy of formation in meV per atom: -591
V in Å³ per atom: 11.46
Symmetry: Cmcm, No. 63


A relaxed structure of Th2FeB10, computed with r2SCAN.

Cell: 4.179 5.626 11.231 Å, 90.00 90.00 90.00°
Sites, in units of the cell vectors:
1 B 0.299 0.296 0.613
2 B 0.000 0.539 0.313
3 B 0.299 0.204 0.113
4 Fe 0.000 0.500 0.500
5 B 0.701 0.704 0.387
6 B 0.000 0.039 0.187
7 Th 0.500 0.790 0.631
8 Th 0.500 0.210 0.369
9 B 0.000 0.649 0.803
10 B 0.299 0.704 0.387
11 Th 0.500 0.290 0.869
12 B 0.000 0.461 0.687
13 B 0.701 0.204 0.113
14 B 0.000 0.851 0.303
15 Th 0.500 0.710 0.131
16 B 0.701 0.796 0.887
17 B 0.000 0.961 0.813
18 B 0.299 0.796 0.887
19 B 0.000 0.872 0.460
20 B 0.000 0.128 0.540
21 B 0.701 0.296 0.613
22 Fe 0.000 0.000 0.000
23 B 0.000 0.628 0.960
24 B 0.000 0.351 0.197
25 B 0.000 0.149 0.697
26 B 0.000 0.372 0.040

Values from the calculation:
Spin magnetization in Bohr magnetons per cell: 0.0
Energy of formation in meV per atom: -615
V in Å³ per atom: 10.16
Symmetry: Pbam, No. 55


A relaxed structure of TmFe2B2, computed with r2SCAN.

Cell: 3.453 3.453 5.291 Å, 109.05 109.05 90.00°
Sites, in units of the cell vectors:
1 Tm 0.000 0.000 0.000
2 Fe 0.750 0.250 0.500
3 B 0.390 0.390 0.780
4 B 0.610 0.610 0.220
5 Fe 0.250 0.750 0.500

Values from the calculation:
Spin magnetization in Bohr magnetons per cell: 3.3
Energy of formation in meV per atom: -400
V in Å³ per atom: 11.20
Symmetry: I4/mmm, No. 139


A relaxed structure of FeB2W2, computed with r2SCAN.

Cell: 4.504 4.504 4.504 Å, 139.04 119.14 75.99°
Sites, in units of the cell vectors:
1 B 0.707 0.500 0.207
2 Fe 0.000 0.000 0.000
3 B 0.293 0.500 0.793
4 W 0.703 0.203 0.500
5 W 0.297 0.797 0.500

Values from the calculation:
Spin magnetization in Bohr magnetons per cell: 0.0
Energy of formation in meV per atom: -321
V in Å³ per atom: 10.21
Symmetry: Immm, No. 71


A relaxed structure of Y2Fe14B, computed with r2SCAN.

Cell: 8.726 8.726 11.968 Å, 90.00 90.00 90.00°
Sites, in units of the cell vectors:
1 Fe 0.000 0.000 0.383
2 Y 0.767 0.767 0.500
3 Fe 0.183 0.183 0.746
4 Fe 0.000 0.500 0.000
5 Y 0.733 0.267 0.000
6 Fe 0.934 0.274 0.628
7 Fe 0.566 0.774 0.128
8 Fe 0.500 0.500 0.117
9 Fe 0.066 0.726 0.372
10 Fe 0.464 0.140 0.675
11 Fe 0.500 0.500 0.883
12 Fe 0.140 0.464 0.325
13 Fe 0.964 0.360 0.175
14 Fe 0.683 0.317 0.754
15 Fe 0.317 0.683 0.754
16 Fe 0.817 0.817 0.746
17 Fe 0.934 0.274 0.372
18 Fe 0.274 0.934 0.372
19 Fe 0.902 0.098 0.200
20 Fe 0.360 0.964 0.175
21 Y 0.857 0.857 0.000
22 Fe 0.464 0.140 0.325
23 Fe 0.726 0.066 0.372
24 Fe 0.774 0.566 0.128
25 Fe 0.598 0.598 0.700
26 Fe 0.317 0.683 0.246
27 Fe 0.098 0.902 0.800
28 Fe 0.226 0.434 0.872
29 Fe 0.902 0.098 0.800
30 Fe 0.036 0.640 0.175
31 Fe 0.434 0.226 0.872
32 Fe 0.140 0.464 0.675
33 B 0.876 0.124 0.500
34 Y 0.357 0.643 0.500
35 Fe 0.536 0.860 0.675
36 Y 0.643 0.357 0.500
37 Y 0.143 0.143 0.000
38 Fe 0.000 0.500 0.500
39 Fe 0.774 0.566 0.872
40 Fe 0.098 0.902 0.200
41 Fe 0.536 0.860 0.325
42 B 0.376 0.376 0.000
43 Fe 0.000 0.000 0.617
44 Fe 0.817 0.817 0.254
45 Fe 0.274 0.934 0.628
46 Fe 0.402 0.402 0.700
47 Fe 0.598 0.598 0.300
48 Fe 0.434 0.226 0.128
49 Fe 0.036 0.640 0.825
50 B 0.624 0.624 0.000
51 Fe 0.566 0.774 0.872
52 Fe 0.402 0.402 0.300
53 Fe 0.964 0.360 0.825
54 Fe 0.640 0.036 0.825
55 Fe 0.683 0.317 0.246
56 Fe 0.860 0.536 0.675
57 Fe 0.500 0.000 0.500
58 Fe 0.500 0.000 0.000
59 Y 0.233 0.233 0.500
60 Fe 0.066 0.726 0.628
61 Fe 0.726 0.066 0.628
62 Fe 0.860 0.536 0.325
63 Fe 0.640 0.036 0.175
64 Fe 0.360 0.964 0.825
65 B 0.124 0.876 0.500
66 Fe 0.183 0.183 0.254
67 Fe 0.226 0.434 0.128
68 Y 0.267 0.733 0.000

Values from the calculation:
Spin magnetization in Bohr magnetons per cell: 132.1
Energy of formation in meV per atom: -85
V in Å³ per atom: 13.40
Symmetry: P4_2/mnm, No. 136